# 1
Below is a relaxed Li8Ti7Fe9P24O96 crystal, with properties calculated at the GGA+U level.

Geometry as POSCAR:
```
Li8Ti7Fe9P24O96
1.0
8.6878 -0.0008 -0.0002
-0.0008 8.8269 0.0026
-0.0006 0.0072 24.3775
O P Fe Li Ti
96 24 9 8 7
Direct
0.0830 0.3014 0.6418 O
0.4168 0.8013 0.6416 O
0.1139 0.4610 0.5455 O
0.5819 0.5143 0.7864 O
0.3192 0.3924 0.9097 O
0.3981 0.5862 0.3394 O
0.8987 0.5862 0.1606 O
0.5955 0.8179 0.3899 O
0.3260 0.6523 0.5480 O
0.4168 0.6986 0.1419 O
0.8186 0.3955 0.5891 O
0.6150 0.5961 0.5827 O
0.0819 0.5142 0.7136 O
0.9191 0.7637 0.2598 O
0.8205 0.1431 0.2997 O
0.8844 0.0967 0.5827 O
0.3861 0.9611 0.5456 O
0.9166 0.6984 0.3583 O
0.1860 0.8957 0.9113 O
0.8986 0.9142 0.6603 O
0.5719 0.7735 0.4913 O
0.6019 0.0861 0.1607 O
0.1142 0.0391 0.0462 O
0.6786 0.8571 0.7990 O
0.6793 0.6429 0.2996 O
0.4190 0.7635 0.2404 O
0.5839 0.3013 0.8582 O
0.1019 0.0862 0.3394 O
0.1795 0.8570 0.7003 O
0.3863 0.5393 0.0459 O
0.9049 0.1810 0.8899 O
0.1814 0.6043 0.4107 O
0.4047 0.1822 0.6101 O
0.9170 0.0146 0.7857 O
0.3883 0.0959 0.9164 O
0.1906 0.1066 0.8409 O
0.5714 0.7273 0.9914 O
0.1793 0.6428 0.2005 O
0.0720 0.7265 0.5086 O
0.6145 0.9042 0.0829 O
0.6813 0.8956 0.5892 O
0.3263 0.8483 0.0483 O
0.0961 0.6821 0.6099 O
0.0810 0.2638 0.2404 O
0.8183 0.1046 0.0892 O
0.9168 0.7373 0.7580 O
0.4182 0.0140 0.7134 O
0.8256 0.8475 0.4517 O
0.0713 0.7707 0.0110 O
0.6817 0.6046 0.0893 O
0.8085 0.6078 0.6591 O
0.5807 0.2369 0.7595 O
0.8861 0.5388 0.4543 O
0.0811 0.2366 0.7405 O
0.5833 0.1985 0.3582 O
0.3207 0.1429 0.2004 O
0.9179 0.4861 0.2864 O
0.0818 0.9863 0.2139 O
0.9161 0.7985 0.8565 O
0.3207 0.3573 0.7003 O
0.1014 0.4145 0.8391 O
0.6744 0.3475 0.4517 O
0.9282 0.2734 0.4913 O
0.8078 0.8917 0.1592 O
0.1741 0.3481 0.0485 O
0.6139 0.0388 0.4543 O
0.4269 0.2736 0.0087 O
0.4281 0.2266 0.5087 O
0.4192 0.7361 0.7403 O
0.1152 0.9039 0.4170 O
0.8810 0.9618 0.9555 O
0.6921 0.1079 0.6594 O
0.6020 0.4138 0.6605 O
0.5939 0.6822 0.8900 O
0.8849 0.4041 0.0829 O
0.8243 0.6467 0.9528 O
0.1920 0.3924 0.3405 O
0.8208 0.3572 0.7997 O
0.5807 0.2635 0.2596 O
0.3994 0.9148 0.8386 O
0.4046 0.3181 0.1102 O
0.3186 0.1043 0.4108 O
0.9046 0.3180 0.3899 O
0.3075 0.6081 0.8410 O
0.0989 0.8214 0.1116 O
0.1743 0.1525 0.5483 O
0.6086 0.4618 0.9543 O
0.9306 0.2265 0.9913 O
0.4178 0.4859 0.2137 O
0.1171 0.5906 0.9189 O
0.6922 0.3925 0.1594 O
0.0832 0.1987 0.1419 O
0.3846 0.4037 0.4170 O
0.3079 0.8925 0.3406 O
0.5821 0.9859 0.2864 O
0.6752 0.1571 0.9524 O
0.7856 0.0010 0.6226 P
0.8577 0.6456 0.3017 P
0.6496 0.6302 0.9464 P
0.6422 0.3544 0.8015 P
0.6421 0.1457 0.3016 P
0.1501 0.6302 0.5535 P
0.3499 0.3699 0.0539 P
0.2143 0.9990 0.3772 P
0.8503 0.3696 0.4461 P
0.7142 0.9993 0.1228 P
0.3579 0.8541 0.6983 P
0.3577 0.6456 0.1985 P
0.1501 0.8695 0.0544 P
0.2137 0.5001 0.8775 P
0.3503 0.1303 0.5538 P
0.1423 0.1458 0.1986 P
0.6497 0.8696 0.4461 P
0.7860 0.4992 0.1229 P
0.7142 0.5007 0.6226 P
0.2857 0.4991 0.3771 P
0.1422 0.3545 0.6984 P
0.8504 0.1307 0.9466 P
0.2875 0.0002 0.8770 P
0.8573 0.8544 0.8006 P
0.0002 0.7118 0.6802 Fe
0.9995 0.7806 0.9328 Fe
0.4994 0.7119 0.8189 Fe
0.5004 0.2884 0.1809 Fe
0.5004 0.2119 0.6807 Fe
0.9992 0.7887 0.1814 Fe
0.9997 0.2115 0.8189 Fe
0.4997 0.7884 0.3192 Fe
0.0002 0.2884 0.3192 Fe
0.0325 0.4701 0.2147 Li
0.5325 0.0306 0.7850 Li
0.4676 0.9702 0.2146 Li
0.4678 0.5298 0.7145 Li
0.0331 0.0302 0.7142 Li
0.5323 0.4701 0.2854 Li
0.9675 0.9704 0.2856 Li
0.9665 0.5313 0.7854 Li
0.9987 0.7210 0.4337 Ti
0.0015 0.2792 0.5662 Ti
0.4998 0.7205 0.0668 Ti
0.5000 0.2790 0.9334 Ti
0.4987 0.7792 0.5662 Ti
0.0010 0.2213 0.0669 Ti
0.5014 0.2209 0.4338 Ti
```

=====

# 2
Below is a relaxed Sr2TbCrO6 crystal, with properties calculated at the GGA+U level.

Geometry as POSCAR:
```
Sr2TbCrO6
1.0
-5.7817 -0.1610 0.5279
-3.2824 -1.6441 -4.5006
-2.7628 -5.1070 0.1330
O Cr Sr Tb
6 1 2 1
Direct
0.7697 0.2303 0.2303 O
0.7697 0.2303 0.7697 O
0.2303 0.7697 0.7697 O
0.7697 0.7697 0.2303 O
0.2303 0.2303 0.7697 O
0.2303 0.7697 0.2303 O
0.0000 0.0000 0.0000 Cr
0.7500 0.7500 0.7500 Sr
0.2500 0.2500 0.2500 Sr
0.5000 0.5000 0.5000 Tb
```

=====

# 3
Below is a relaxed MnPtF6 crystal, with properties calculated at the GGA+U level.

Geometry as POSCAR:
```
MnPtF6
1.0
1.4461 2.6818 -4.4142
1.4461 -2.6818 -4.4142
-3.5276 0.0000 -4.4142
F Pt Mn
6 1 1
Direct
0.2610 0.8580 0.2577 F
0.7390 0.1420 0.7423 F
0.1420 0.3766 0.7423 F
0.3766 0.7390 0.7423 F
0.8580 0.6234 0.2577 F
0.6234 0.2610 0.2577 F
0.5000 0.5000 0.5000 Pt
0.0000 0.0000 0.0000 Mn
```

=====

| no. | total DFT energy (no corrections) (eV for the cell shown) |
| --- | --- |
| 1 | -1038.53 |
| 2 | -69.83 |
| 3 | -39.86 |